RbFeO2 | GGA+U | relaxed

Calculated values
* E_form: -164.1 kJ/mol of atoms
* energy: -5.629 eV per atom
* spin magnetization: 0.00 μB per formula unit
* crystal system: cubic

Lattice parameters (Å, degrees): 6.0762 6.0762 6.0762 60.00 60.00 60.00
With the nearest neighbours (Å) after each atom.
Sites, in units of the cell vectors:
Rb  0.1250  0.1250  0.1250  12 O 3.56, 4 Fe 3.72, 4 Rb 3.72
Rb  0.8750  0.8750  0.8750  12 O 3.56, 4 Fe 3.72, 4 Rb 3.72
Fe  0.3750  0.3750  0.3750  4 O 1.86
Fe  0.6250  0.6250  0.6250  4 O 1.86
O  0.0000  0.5000  0.5000  2 Fe 1.86
O  0.5000  0.0000  0.5000  2 Fe 1.86
O  0.5000  0.5000  0.0000  2 Fe 1.86
O  0.5000  0.5000  0.5000  2 Fe 1.86